(1)
Material: NaMgCu2H2Se2O10
Method: DFT, GGA-PBE
State: relaxed

Geometry as extended XYZ:
```
18
Lattice="5.992 0.000 0.000 2.854 5.292 0.000 2.745 1.663 7.026" Properties=species:S:1:pos:R:3 pbc="T T T"
Na 0.000 0.000 0.000
Mg 6.763 1.847 3.517
Cu 3.218 3.585 3.401
Cu 6.926 5.796 3.623
H 2.767 1.664 1.927
H 8.827 5.290 5.097
Se 5.837 3.489 5.733
Se 5.771 3.435 1.290
O 2.718 1.715 2.920
O 4.248 4.092 1.546
O 2.519 1.434 0.202
O 5.990 5.140 5.474
O 4.851 2.787 4.511
O 6.856 3.967 2.515
O 5.732 1.774 1.672
O 9.130 5.415 6.820
O 7.317 2.730 5.354
O 8.809 5.359 4.105
```

Values from the calculation:
electronic total energy = -5.1649 eV per atom
DFT formation energy = -1.41 eV/atom

=====

(2)
Material: SrSnP2O8
Method: DFT, GGA-PBE
State: relaxed

Geometry as extended XYZ:
```
24
Lattice="5.693 0.000 0.000 -0.991 6.979 0.000 -1.702 -3.558 8.408" Properties=species:S:1:pos:R:3 pbc="T T T"
Sr 1.074 1.728 0.258
Sr 1.926 1.693 8.151
Sn 0.430 3.114 3.788
Sn 2.570 0.306 4.620
P -0.736 0.769 5.871
P 0.928 5.682 1.915
P 2.072 -2.262 6.494
P 3.736 2.652 2.538
O -1.147 -0.325 4.825
O -0.665 1.731 2.546
O -0.125 6.159 0.921
O -0.340 0.355 7.267
O 0.857 4.088 2.047
O 0.676 -2.717 6.836
O 0.564 1.530 5.235
O 1.494 -0.781 3.363
O 1.506 4.202 5.046
O 2.436 1.890 3.173
O 2.324 6.138 1.572
O 2.144 -0.668 6.362
O 3.340 3.066 1.142
O 3.125 -2.738 7.488
O 3.666 1.689 5.862
O 4.147 3.746 3.583
```

Values from the calculation:
electronic total energy = -6.9168 eV per atom
energy relative to the lowest polymorph listed for this composition = 11.6 kJ/mol of atoms
DFT formation energy = -2.70 eV/atom

=====

(3)
Material: LaNb8O14
Method: DFT, GGA-PBE
State: relaxed

Geometry as extended XYZ:
```
46
Lattice="9.288 0.000 0.000 0.000 10.411 0.000 0.000 0.000 6.046" Properties=species:S:1:pos:R:3 pbc="T T T"
La 0.000 0.000 0.000
La 4.644 5.206 0.000
Nb 1.068 1.715 3.023
Nb 1.112 6.914 0.000
Nb 1.168 4.406 1.396
Nb 1.168 4.406 4.650
Nb 3.476 9.612 1.396
Nb 3.476 9.612 4.650
Nb 3.532 1.709 0.000
Nb 3.576 6.920 3.023
Nb 5.712 3.491 3.023
Nb 5.756 8.703 0.000
Nb 5.812 0.800 1.396
Nb 5.812 0.800 4.650
Nb 8.120 6.005 1.396
Nb 8.120 6.005 4.650
Nb 8.176 3.497 0.000
Nb 8.219 8.697 3.023
O 0.000 0.000 3.023
O 0.000 5.206 3.023
O 0.038 2.559 1.472
O 0.038 2.559 4.574
O 2.122 8.885 0.000
O 2.173 0.865 1.448
O 2.173 0.865 4.598
O 2.182 3.339 3.023
O 2.461 8.545 3.023
O 2.471 6.071 1.448
O 2.471 6.071 4.598
O 2.522 3.680 0.000
O 4.606 7.765 1.472
O 4.606 7.765 4.574
O 4.644 0.000 3.023
O 4.644 5.206 3.023
O 4.682 2.647 1.472
O 4.682 2.647 4.574
O 6.766 6.732 0.000
O 6.817 4.341 1.448
O 6.817 4.341 4.598
O 6.826 1.867 3.023
O 7.105 7.072 3.023
O 7.115 9.546 1.448
O 7.115 9.546 4.598
O 7.166 1.526 0.000
O 9.250 7.852 1.472
O 9.250 7.852 4.574
```

Values from the calculation:
electronic total energy = -9.1898 eV per atom
DFT formation energy = -2.87 eV/atom

=====

(4)
Material: CsNdP4O12
Method: DFT, GGA-PBE
State: relaxed

Geometry as extended XYZ:
```
108
Lattice="7.698 -10.889 0.000 7.698 10.889 0.000 -7.698 0.000 10.886" Properties=species:S:1:pos:R:3 pbc="T T T"
Cs 7.698 10.885 0.000
Cs 3.849 -10.885 5.443
Cs -0.202 2.872 8.338
Cs 3.872 5.437 5.745
Cs 3.647 -2.872 2.895
Cs 7.721 -5.437 0.302
Nd 3.790 2.736 0.180
Nd 1.813 6.803 9.687
Nd -0.058 -2.736 5.623
Nd 5.681 1.338 6.940
Nd 9.530 -1.338 1.497
Nd 5.662 -6.803 4.244
P 0.005 6.324 6.447
P 1.124 2.635 2.825
P 4.965 8.071 2.938
P -0.068 0.929 4.821
P 6.387 5.377 0.254
P 7.578 7.375 1.948
P -3.917 -0.929 10.264
P -2.724 -2.635 8.268
P 3.749 1.934 3.808
P 6.400 0.067 0.079
P 2.551 -0.067 5.522
P 3.649 3.558 9.197
P -0.100 -1.934 9.251
P 7.624 4.504 6.368
P 3.853 -6.324 1.005
P 2.538 -5.377 5.697
P 3.861 0.859 10.198
P 11.337 1.876 2.008
P 7.710 -0.859 4.756
P 7.498 -3.558 3.755
P 1.116 -8.071 8.381
P 7.488 -1.876 7.451
P 3.730 -7.375 7.391
P 11.473 -4.504 0.926
O 3.175 5.003 0.924
O -3.360 3.480 8.764
O 5.140 6.396 0.038
O 0.761 8.732 8.569
O 1.622 2.380 1.439
O -0.870 2.109 5.273
O 4.338 6.650 2.443
O 6.226 8.299 1.932
O 0.483 1.207 3.316
O 1.166 6.110 7.367
O -4.529 0.442 10.278
O -0.316 5.638 10.037
O 5.479 7.827 4.321
O -0.681 -0.442 4.835
O 2.374 2.852 3.833
O 5.867 4.001 0.480
O 8.382 7.842 0.774
O -3.366 -1.207 8.759
O 7.022 5.883 1.672
O -2.227 -2.380 6.882
O -4.719 -2.109 10.716
O 4.313 1.951 2.424
O 1.285 0.949 5.733
O -1.830 1.433 10.682
O 3.980 7.153 8.517
O 0.488 -3.480 3.321
O 2.497 4.491 8.994
O 3.172 0.436 4.085
O 5.133 -0.949 0.290
O 4.513 2.400 5.003
O -0.677 -0.436 9.528
O 2.019 -1.433 5.239
O 10.604 5.699 0.728
O -1.475 -2.852 9.276
O -0.673 -5.003 6.367
O 0.464 -1.951 7.867
O 4.609 3.301 8.072
O 3.530 0.215 6.616
O 2.991 2.156 9.708
O 7.379 -0.215 1.173
O 6.811 3.330 5.952
O 2.019 -4.001 5.923
O 4.518 4.062 10.479
O 10.692 3.288 1.492
O 1.291 -6.396 5.481
O 0.665 -2.400 10.446
O 6.737 0.240 5.044
O 2.888 -0.240 10.486
O 5.015 -6.110 1.924
O 0.489 -6.650 7.885
O 3.533 -5.638 4.595
O 5.026 0.692 9.281
O 10.203 0.934 2.215
O 6.840 -2.156 4.265
O 12.216 1.394 0.722
O 6.346 -4.491 3.551
O 8.875 -0.692 3.838
O 3.174 -5.883 7.115
O 7.835 1.705 8.136
O 6.354 -0.934 7.658
O 8.458 -3.301 2.629
O 4.609 -8.732 3.126
O 10.660 -3.330 0.509
O 2.377 -8.299 7.375
O 8.367 -1.394 6.165
O 1.630 -7.827 9.764
O 6.844 -3.288 6.935
O 4.534 -7.842 6.217
O 8.367 -4.062 5.036
O 11.683 -1.705 2.693
O 7.829 -7.153 3.075
O 6.755 -5.699 6.171
```

Values from the calculation:
electronic total energy = -7.2857 eV per atom
energy relative to the lowest polymorph listed for this composition = 0.0 kJ/mol of atoms
DFT formation energy = -2.93 eV/atom